No. 1
This record from the Materials Project database describes a geometry-optimized AlH10C3N structure. The functional is PBE.

Cell: 7.6073 7.6073 10.9205 Å, 104.58 104.58 96.54°
Last column: nearest neighbours and their distance in Å.
Fractional positions:
Al1 0.0185 0.9137 0.8647  2 H 1.60-1.64
Al2 0.0863 0.9815 0.6353  2 H 1.60-1.64
Al3 0.9137 0.0185 0.3647  2 H 1.60-1.64
Al4 0.9815 0.0863 0.1353  2 H 1.60-1.64
H1 0.0152 0.4134 0.3766  1 C 1.10
H2 0.0444 0.1523 0.5721  1 Al 1.64
H3 0.0564 0.7351 0.1673  1 C 1.10
H4 0.1223 0.7464 0.8842  1 Al 1.60
H5 0.1408 0.3565 0.9734  1 C 1.10
H6 0.1424 0.3928 0.8186  1 C 1.10
H7 0.1523 0.0444 0.0721  1 Al 1.64
H8 0.2054 0.3990 0.5034  1 C 1.11
H9 0.2257 0.4659 0.2399  1 C 1.10
H10 0.2536 0.8777 0.6158  1 Al 1.60
H11 0.2649 0.9436 0.3327  1 C 1.10
H12 0.2969 0.6310 0.3994  1 C 1.10
H13 0.3565 0.1408 0.4734  1 C 1.10
H14 0.3690 0.7031 0.1006  1 C 1.10
H15 0.3928 0.1424 0.3186  1 C 1.10
H16 0.3990 0.2054 0.0034  1 C 1.11
H17 0.4134 0.0152 0.8766  1 C 1.10
H18 0.4188 0.4486 0.3655  1 C 1.10
H19 0.4486 0.4188 0.8655  1 C 1.10
H20 0.4659 0.2257 0.7399  1 C 1.10
H21 0.5341 0.7743 0.2601  1 C 1.10
H22 0.5514 0.5812 0.1345  1 C 1.10
H23 0.5812 0.5514 0.6345  1 C 1.10
H24 0.5866 0.9848 0.1234  1 C 1.10
H25 0.6010 0.7946 0.9966  1 C 1.11
H26 0.6072 0.8576 0.6814  1 C 1.10
H27 0.6310 0.2969 0.8994  1 C 1.10
H28 0.6435 0.8592 0.5266  1 C 1.10
H29 0.7031 0.3690 0.6006  1 C 1.10
H30 0.7351 0.0564 0.6673  1 C 1.10
H31 0.7464 0.1223 0.3842  1 Al 1.60
H32 0.7743 0.5341 0.7601  1 C 1.10
H33 0.7946 0.6010 0.4966  1 C 1.11
H34 0.8477 0.9556 0.9279  1 Al 1.64
H35 0.8576 0.6072 0.1814  1 C 1.10
H36 0.8592 0.6435 0.0266  1 C 1.10
H37 0.8777 0.2536 0.1158  1 Al 1.60
H38 0.9436 0.2649 0.8327  1 C 1.10
H39 0.9556 0.8477 0.4279  1 Al 1.64
H40 0.9848 0.5866 0.6234  1 C 1.10
C1 0.0953 0.2917 0.8655  3 H 1.10
C2 0.1498 0.3697 0.3950  2 H 1.10-1.11
C3 0.2806 0.4838 0.3465  3 H 1.10
C4 0.2917 0.0953 0.3655  3 H 1.10
C5 0.3697 0.1498 0.8950  2 H 1.10-1.11
C6 0.4838 0.2806 0.8465  3 H 1.10
C7 0.5162 0.7194 0.1535  3 H 1.10
C8 0.6303 0.8502 0.1050  2 H 1.10-1.11
C9 0.7083 0.9047 0.6345  3 H 1.10
C10 0.7194 0.5162 0.6535  3 H 1.10
C11 0.8502 0.6303 0.6050  2 H 1.10-1.11
C12 0.9047 0.7083 0.1345  3 H 1.10
N1 0.1169 0.1660 0.3323  2 C 1.49
N2 0.1660 0.1169 0.8323  2 C 1.49
N3 0.8340 0.8831 0.1677  2 C 1.49
N4 0.8831 0.8340 0.6677  2 C 1.49

Results
Spin magnetization (μB per formula unit): 0.0
Symmetry: C2/c, No. 15
Energy of formation (meV/atom): -188
Energy relative to the lowest polymorph listed for this composition (meV/atom): 0
Total DFT energy (no corrections) (eV per formula unit): -76.2

No. 2
This record from the Materials Project database describes a geometry-optimized BiPt3 structure. The functional is PBE.

Cell: 5.2378 5.2378 5.2378 Å, 134.01 134.01 67.08°
Last column: nearest neighbours and their distance in Å.
Fractional positions:
Bi1 0.0000 0.0000 0.0000  12 Pt 2.89-2.99
Pt1 0.2500 0.7500 0.5000  8 Pt 2.89-2.99, 4 Bi 2.99
Pt2 0.5000 0.5000 0.0000  4 Bi 2.89, 8 Pt 2.99
Pt3 0.7500 0.2500 0.5000  8 Pt 2.89-2.99, 4 Bi 2.99

Results
Spin magnetization (μB per formula unit): 0.0
Symmetry: I4/mmm, No. 139
Energy of formation (meV/atom): 12
Total DFT energy (no corrections) (eV per formula unit): -22.1

No. 3
This record from the Materials Project database describes a geometry-optimized Na7Y2Si3Ge2P3O24 structure. The functional is PBE.

Cell: 9.0564 9.0617 22.2814 Å, 90.14 90.58 119.76°
Last column: nearest neighbours and their distance in Å.
Fractional positions:
Na1 0.0000 0.0000 0.0000  6 O 2.42-2.58
Na2 0.0012 0.6133 0.2488  6 O 2.42-2.49
Na3 0.0083 0.2472 0.4945  5 O 2.38-2.57
Na4 0.0300 0.3082 0.1659  7 O 2.47-2.75
Na5 0.0421 0.9498 0.6729  5 O 2.45-2.53
Na6 0.3001 0.5812 0.6689  5 O 2.39-2.67
Na7 0.3242 0.2658 0.0908  5 O 2.48-2.65
Na8 0.3322 0.9277 0.8315  6 O 2.44-2.72
Na9 0.3339 0.2800 0.5821  6 O 2.51-2.69
Na10 0.3370 0.6452 0.3301  6 O 2.47-2.71
Na11 0.3663 0.9786 0.4944  4 O 2.39-2.53
Na12 0.3770 0.6112 0.0040  5 O 2.34-2.61
Na13 0.6226 0.6100 0.4914  5 O 2.38-2.53
Na14 0.6262 0.2362 0.9970  5 O 2.33-2.60
Na15 0.6592 0.3108 0.6706  5 O 2.39-2.59
Na16 0.6664 0.9573 0.4064  6 O 2.49-2.59
Na17 0.6665 0.5826 0.1688  7 O 2.49-2.76
Na18 0.6775 0.9449 0.9120  5 O 2.42-2.64
Na19 0.9729 0.9204 0.3317  6 O 2.44-2.71
Na20 0.9783 0.2754 0.8369  4 O 2.39-2.64
Na21 0.9888 0.6175 0.7559  6 O 2.42-2.59
Y1 0.0052 0.6155 0.6036  6 O 2.11-2.34
Y2 0.3292 0.2792 0.9319  6 O 2.18-2.35
Y3 0.3305 0.2796 0.4208  6 O 2.17-2.33
Y4 0.3367 0.2757 0.7420  6 O 2.15-2.32
Y5 0.6610 0.9428 0.5600  6 O 2.11-2.34
Y6 0.6732 0.9528 0.0703  6 O 2.18-2.35
Si1 0.0024 0.3407 0.0022  4 O 1.64-1.66
Si2 0.0109 0.9563 0.8340  4 O 1.63-1.64
Si3 0.0205 0.2741 0.3283  4 O 1.62-1.67
Si4 0.2865 0.6095 0.4928  4 O 1.63-1.68
Si5 0.3700 0.6456 0.1674  4 O 1.62-1.67
Si6 0.3779 0.9505 0.6692  4 O 1.62-1.67
Si7 0.6380 0.5840 0.3298  4 O 1.61-1.68
Si8 0.6513 0.2802 0.8333  4 O 1.61-1.67
Si9 0.9797 0.9501 0.1676  4 O 1.63-1.68
Ge1 0.0192 0.6267 0.1058  5 O 1.84-2.01
Ge2 0.3333 0.2858 0.2349  6 O 1.89-2.06
Ge3 0.6672 0.9478 0.7700  6 O 1.83-2.03
Ge4 0.6713 0.9395 0.2619  5 O 1.87-1.99
Ge5 0.9903 0.5975 0.3919  5 O 1.84-2.02
Ge6 0.9906 0.6077 0.8975  5 O 1.83-1.97
P1 0.0022 0.9010 0.4927  4 O 1.54-1.56
P2 0.2750 0.8888 0.0000  4 O 1.54-1.55
P3 0.3352 0.5983 0.8343  4 O 1.54-1.56
P4 0.3410 0.9814 0.3289  4 O 1.54-1.57
P5 0.6596 0.2426 0.1686  4 O 1.54-1.57
P6 0.6631 0.6576 0.6696  4 O 1.54-1.55
P7 0.7117 0.3255 0.4942  4 O 1.54-1.55
P8 0.7283 0.6138 0.0022  4 O 1.55-1.56
P9 0.9560 0.2344 0.6701  4 O 1.53-1.55
O1 0.0056 0.7748 0.8458  1 Si 1.64
O2 0.0141 0.8235 0.5527  1 P 1.54
O3 0.0150 0.4546 0.3352  1 Si 1.67
O4 0.0193 0.4517 0.0639  1 Si 1.66, 1 Ge 1.84
O5 0.0761 0.2197 0.3901  1 Si 1.62
O6 0.0892 0.0897 0.8908  1 Si 1.64
O7 0.1379 0.0324 0.7770  1 Si 1.63
O8 0.1380 0.2636 0.6744  1 P 1.54
O9 0.1644 0.1221 0.1824  1 Si 1.65
O10 0.1652 0.0764 0.4914  1 P 1.54
O11 0.1685 0.8072 0.0570  1 P 1.55
O12 0.1702 0.3206 0.2771  1 Si 1.67
O13 0.1732 0.3216 0.0026  1 Si 1.64
O14 0.1742 0.8029 0.3292  1 P 1.57
O15 0.1752 0.6221 0.1625  1 Si 1.67
O16 0.1756 0.6191 0.8417  1 P 1.56
O17 0.1793 0.6301 0.4344  1 Si 1.68, 1 Ge 1.84
O18 0.1882 0.7862 0.9423  1 P 1.54
O19 0.1913 0.5895 0.5563  1 Si 1.63
O20 0.1921 0.7781 0.6741  1 Si 1.64
O21 0.2954 0.0687 0.9984  1 P 1.55
O22 0.2953 0.4842 0.7785  1 P 1.54
O23 0.3062 0.0890 0.2819  1 P 1.56
O24 0.3067 0.4399 0.4917  1 Si 1.64
O25 0.3484 0.4531 0.1776  1 Si 1.67
O26 0.3545 0.1181 0.6701  1 Si 1.63
O27 0.3652 0.5165 0.8900  1 P 1.54
O28 0.3701 0.0662 0.3910  1 P 1.54
O29 0.4526 0.9039 0.0023  1 P 1.55
O30 0.4724 0.7817 0.4892  1 Si 1.63
O31 0.4729 0.7756 0.2235  1 Si 1.64
O32 0.4737 0.9702 0.6062  1 Si 1.62
O33 0.4790 0.7085 0.1064  1 Si 1.62
O34 0.4873 0.9342 0.7268  1 Si 1.67, 1 Ge 1.83
O35 0.4930 0.7773 0.8271  1 P 1.55
O36 0.4962 0.9571 0.3177  1 P 1.55
O37 0.5009 0.4832 0.6734  1 P 1.54
O38 0.5029 0.2661 0.1792  1 P 1.56
O39 0.5209 0.2330 0.8893  1 Si 1.63
O40 0.5295 0.5251 0.3907  1 Si 1.61
O41 0.5309 0.2991 0.4895  1 P 1.54
O42 0.5336 0.4501 0.2743  1 Si 1.65
O43 0.5506 0.4527 0.9987  1 P 1.55
O44 0.5801 0.3167 0.7721  1 Si 1.61
O45 0.6289 0.1542 0.1068  1 P 1.54
O46 0.6501 0.7287 0.6084  1 P 1.54
O47 0.6583 0.7755 0.3191  1 Si 1.67
O48 0.6705 0.1076 0.8261  1 Si 1.67
O49 0.6820 0.7791 0.7216  1 P 1.55
O50 0.6954 0.1384 0.2163  1 P 1.56
O51 0.7070 0.7734 0.0025  1 P 1.55
O52 0.7076 0.1535 0.4925  1 P 1.54
O53 0.7816 0.4178 0.5546  1 P 1.54
O54 0.8127 0.5960 0.0609  1 P 1.56
O55 0.8234 0.6387 0.6724  1 P 1.55
O56 0.8244 0.4225 0.1675  1 P 1.57
O57 0.8252 0.9424 0.8222  1 Si 1.64
O58 0.8262 0.4273 0.4409  1 P 1.55
O59 0.8308 0.1522 0.9998  1 Si 1.64
O60 0.8345 0.6114 0.3373  1 Si 1.68
O61 0.8349 0.6348 0.9458  1 P 1.55
O62 0.8345 0.9031 0.2202  1 Si 1.66
O63 0.8368 0.1029 0.3133  1 Si 1.65
O64 0.8430 0.9214 0.4914  1 P 1.54
O65 0.8439 0.4442 0.8431  1 Si 1.65
O66 0.8477 0.1354 0.7249  1 P 1.55
O67 0.8842 0.1400 0.6105  1 P 1.53
O68 0.9192 0.0043 0.1065  1 Si 1.63
O69 0.9610 0.4074 0.6718  1 P 1.55
O70 0.9826 0.7674 0.1595  1 Si 1.68
O71 0.9832 0.7868 0.4373  1 P 1.56
O72 0.9913 0.4376 0.9416  1 Si 1.64, 1 Ge 1.83

Results
Spin magnetization (μB per formula unit): 0.0
Symmetry: P1, No. 1
Energy of formation (meV/atom): -2781
Total DFT energy (no corrections) (eV per formula unit): -280.2

No. 4
This record from the Materials Project database describes a geometry-optimized Tl2TeP2O14 structure. The functional is PBE.

Cell: 4.9729 16.1292 7.4228 Å, 90.00 107.53 90.00°
Last column: nearest neighbours and their distance in Å.
Fractional positions:
Tl1 0.1172 0.1243 0.2679  5 O 2.19-2.27
Tl2 0.1172 0.3757 0.7679  5 O 2.19-2.27
Tl3 0.8828 0.6243 0.2321  5 O 2.19-2.27
Tl4 0.8828 0.8757 0.7321  5 O 2.19-2.27
Te1 0.5000 0.0000 0.0000  4 O 1.90-1.91
Te2 0.5000 0.5000 0.5000  4 O 1.90-1.91
P1 0.2230 0.6762 0.9142  3 O 1.50-1.52
P2 0.2230 0.8238 0.4142  3 O 1.50-1.52
P3 0.7770 0.1762 0.5858  3 O 1.50-1.52
P4 0.7770 0.3238 0.0858  3 O 1.50-1.52
O1 0.0460 0.7479 0.8155  1 P 1.50
O2 0.0460 0.7521 0.3155  1 P 1.50
O3 0.0725 0.6101 0.9932  1 P 1.52
O4 0.0725 0.8899 0.4932  1 P 1.52
O5 0.1170 0.5127 0.3538  1 Te 1.90
O6 0.1170 0.9873 0.8538  1 Te 1.90
O7 0.2540 0.6256 0.7065  1 O 1.35
O8 0.2540 0.8744 0.2065  1 O 1.35
O9 0.4152 0.1012 0.1058  1 Te 1.91
O10 0.4152 0.3988 0.6058  1 Te 1.91
O11 0.4525 0.5655 0.7507  1 O 1.35
O12 0.4525 0.9345 0.2507  1 O 1.35
O13 0.4740 0.1955 0.4739  1 P 1.52
O14 0.4740 0.3045 0.9739  1 P 1.52
O15 0.5260 0.6955 0.0261  1 P 1.52
O16 0.5260 0.8045 0.5261  1 P 1.52
O17 0.5475 0.0655 0.7493  1 O 1.35
O18 0.5475 0.4345 0.2493  1 O 1.35
O19 0.5848 0.6012 0.3942  1 Te 1.91
O20 0.5848 0.8988 0.8942  1 Te 1.91
O21 0.7460 0.1256 0.7935  1 O 1.35
O22 0.7460 0.3744 0.2935  1 O 1.35
O23 0.8830 0.0127 0.1462  1 Te 1.90
O24 0.8830 0.4873 0.6462  1 Te 1.90
O25 0.9275 0.1101 0.5068  1 P 1.52
O26 0.9275 0.3899 0.0068  1 P 1.52
O27 0.9540 0.2479 0.6845  1 P 1.50
O28 0.9540 0.2521 0.1845  1 P 1.50

Results
Spin magnetization (μB per formula unit): 2.0
Symmetry: P2_1/c, No. 14
Energy of formation (meV/atom): -1070
Total DFT energy (no corrections) (eV per formula unit): -106.0